<a>
{"formula": "Li2VPO4F", "functional": "GGA+U", "state": "relaxed", "lattice_angstrom": [[-3.284, -4.034, 1.651], [-6.574, 0.001, -4.122], [3.279, -4.034, -9.073]], "species": ["Li", "Li", "Li", "Li", "Li", "Li", "Li", "Li", "V", "V", "V", "V", "P", "P", "P", "P", "O", "O", "O", "O", "O", "O", "O", "O", "O", "O", "O", "O", "O", "O", "O", "O", "F", "F", "F", "F"], "fractional_positions": [[0.495, 0.532, 0.812], [0.995, 0.032, 0.312], [0.715, 0.565, 0.591], [0.215, 0.065, 0.091], [0.311, 0.666, 0.267], [0.811, 0.166, 0.767], [0.307, 0.295, 0.272], [0.807, 0.795, 0.772], [0.501, 0.999, 0.501], [0.252, 0.249, 0.750], [0.001, 0.499, 0.001], [0.752, 0.749, 0.250], [0.658, 0.197, 0.053], [0.158, 0.697, 0.553], [0.343, 0.802, 0.948], [0.843, 0.303, 0.448], [0.855, 0.292, 0.094], [0.355, 0.792, 0.594], [0.318, 0.483, 0.630], [0.818, 0.983, 0.130], [0.166, 0.694, 0.903], [0.666, 0.194, 0.403], [0.687, 0.522, 0.381], [0.187, 0.022, 0.881], [0.387, 0.268, 0.095], [0.887, 0.768, 0.595], [0.584, 0.242, 0.896], [0.084, 0.742, 0.396], [0.607, 0.720, 0.902], [0.107, 0.220, 0.402], [0.408, 0.775, 0.102], [0.908, 0.275, 0.602], [0.912, 0.446, 0.804], [0.412, 0.946, 0.304], [0.073, 0.559, 0.191], [0.573, 0.059, 0.691]]}

***

<b>
{"formula": "Li2VPO4F", "functional": "GGA+U", "state": "relaxed", "lattice_angstrom": [[5.170, 0.000, 0.000], [0.000, 13.163, 0.000], [0.000, 0.000, 11.503]], "species": ["Li", "Li", "Li", "Li", "Li", "Li", "Li", "Li", "Li", "Li", "Li", "Li", "Li", "Li", "Li", "Li", "V", "V", "V", "V", "V", "V", "V", "V", "P", "P", "P", "P", "P", "P", "P", "P", "O", "O", "O", "O", "O", "O", "O", "O", "O", "O", "O", "O", "O", "O", "O", "O", "O", "O", "O", "O", "O", "O", "O", "O", "O", "O", "O", "O", "O", "O", "O", "O", "F", "F", "F", "F", "F", "F", "F", "F"], "fractional_positions": [[0.216, 0.243, 0.176], [0.216, 0.757, 0.676], [0.231, 0.367, 0.910], [0.231, 0.633, 0.410], [0.269, 0.133, 0.410], [0.269, 0.867, 0.910], [0.284, 0.257, 0.676], [0.284, 0.743, 0.176], [0.716, 0.257, 0.824], [0.716, 0.743, 0.324], [0.731, 0.133, 0.090], [0.731, 0.867, 0.590], [0.769, 0.367, 0.590], [0.769, 0.633, 0.090], [0.784, 0.243, 0.324], [0.784, 0.757, 0.824], [0.221, 0.487, 0.671], [0.221, 0.513, 0.171], [0.279, 0.013, 0.171], [0.279, 0.987, 0.671], [0.721, 0.013, 0.329], [0.721, 0.987, 0.829], [0.779, 0.487, 0.829], [0.779, 0.513, 0.329], [0.206, 0.130, 0.915], [0.206, 0.870, 0.415], [0.294, 0.370, 0.415], [0.294, 0.630, 0.915], [0.706, 0.370, 0.085], [0.706, 0.630, 0.585], [0.794, 0.130, 0.585], [0.794, 0.870, 0.085], [0.097, 0.124, 0.594], [0.097, 0.876, 0.094], [0.178, 0.467, 0.355], [0.178, 0.533, 0.855], [0.187, 0.274, 0.355], [0.187, 0.726, 0.855], [0.209, 0.370, 0.544], [0.209, 0.630, 0.044], [0.291, 0.130, 0.044], [0.291, 0.870, 0.544], [0.313, 0.226, 0.855], [0.313, 0.774, 0.355], [0.322, 0.033, 0.855], [0.322, 0.967, 0.355], [0.403, 0.376, 0.094], [0.403, 0.624, 0.594], [0.597, 0.376, 0.406], [0.597, 0.624, 0.906], [0.678, 0.033, 0.645], [0.678, 0.967, 0.145], [0.687, 0.226, 0.645], [0.687, 0.774, 0.145], [0.709, 0.130, 0.456], [0.709, 0.870, 0.956], [0.791, 0.370, 0.956], [0.791, 0.630, 0.456], [0.813, 0.274, 0.145], [0.813, 0.726, 0.645], [0.822, 0.467, 0.145], [0.822, 0.533, 0.645], [0.903, 0.124, 0.906], [0.903, 0.876, 0.406], [0.000, 0.104, 0.250], [0.000, 0.368, 0.750], [0.000, 0.632, 0.250], [0.000, 0.896, 0.750], [0.500, 0.132, 0.250], [0.500, 0.396, 0.750], [0.500, 0.604, 0.250], [0.500, 0.868, 0.750]], "spacegroup": "Pbcn (60)", "crystal_system": "orthorhombic"}

***

Unit: kJ/mol of atoms. Relative energies: <a> 0.0; <b> 1.7.

***

<a>
{"formula": "Cs5BiMo4O16", "functional": "GGA+U", "state": "relaxed", "lattice_angstrom": [[8.514, 0.000, 0.000], [3.687, 10.052, 0.000], [4.232, -0.009, 13.077]], "species": ["Cs", "Cs", "Cs", "Cs", "Cs", "Cs", "Cs", "Cs", "Cs", "Cs", "Bi", "Bi", "Mo", "Mo", "Mo", "Mo", "Mo", "Mo", "Mo", "Mo", "O", "O", "O", "O", "O", "O", "O", "O", "O", "O", "O", "O", "O", "O", "O", "O", "O", "O", "O", "O", "O", "O", "O", "O", "O", "O", "O", "O", "O", "O", "O", "O"], "fractional_positions": [[0.000, 0.000, 0.000], [0.008, 0.699, 0.750], [0.243, 0.300, 0.748], [0.266, 0.698, 0.246], [0.388, 0.196, 0.004], [0.492, 0.307, 0.241], [0.609, 0.805, 0.007], [0.631, 0.200, 0.499], [0.867, 0.800, 0.502], [0.876, 0.500, 0.251], [0.244, 0.999, 0.512], [0.630, 0.501, 0.738], [0.035, 0.386, 0.503], [0.092, 0.105, 0.268], [0.232, 0.605, 0.982], [0.415, 0.888, 0.746], [0.458, 0.613, 0.504], [0.644, 0.897, 0.270], [0.789, 0.397, 0.981], [0.837, 0.114, 0.746], [0.005, 0.154, 0.770], [0.014, 0.676, 0.973], [0.016, 0.327, 0.971], [0.109, 0.492, 0.405], [0.119, 0.014, 0.388], [0.184, 0.235, 0.244], [0.201, 0.996, 0.161], [0.213, 0.230, 0.510], [0.223, 0.848, 0.767], [0.236, 0.494, 0.088], [0.270, 0.767, 0.509], [0.299, 0.734, 0.007], [0.379, 0.515, 0.860], [0.387, 0.992, 0.847], [0.424, 0.526, 0.626], [0.451, 0.977, 0.625], [0.488, 0.506, 0.404], [0.495, 0.986, 0.391], [0.578, 0.766, 0.245], [0.601, 0.731, 0.740], [0.639, 0.007, 0.163], [0.648, 0.656, 0.481], [0.657, 0.269, 0.740], [0.679, 0.506, 0.088], [0.699, 0.266, 0.005], [0.760, 0.487, 0.860], [0.765, 0.007, 0.845], [0.862, 0.828, 0.279], [0.865, 0.177, 0.277], [0.865, 0.348, 0.479], [0.926, 0.027, 0.623], [0.947, 0.473, 0.626]], "spacegroup": "P1 (1)", "crystal_system": "triclinic"}

***

<b>
{"formula": "Cs5BiMo4O16", "functional": "GGA+U", "state": "relaxed", "lattice_angstrom": [[8.514, 0.000, 0.000], [3.687, 10.052, 0.000], [4.257, 0.000, 13.077]], "species": ["Cs", "Cs", "Cs", "Cs", "Cs", "Cs", "Cs", "Cs", "Cs", "Cs", "Bi", "Bi", "Mo", "Mo", "Mo", "Mo", "Mo", "Mo", "Mo", "Mo", "O", "O", "O", "O", "O", "O", "O", "O", "O", "O", "O", "O", "O", "O", "O", "O", "O", "O", "O", "O", "O", "O", "O", "O", "O", "O", "O", "O", "O", "O", "O", "O"], "fractional_positions": [[0.000, 0.000, 0.000], [0.002, 0.703, 0.750], [0.127, 0.203, 0.501], [0.129, 0.905, 0.251], [0.374, 0.500, 0.251], [0.395, 0.893, 0.743], [0.512, 0.393, 0.508], [0.617, 0.503, 0.746], [0.737, 0.003, 0.506], [0.754, 0.405, 0.000], [0.370, 0.203, 0.013], [0.758, 0.703, 0.238], [0.161, 0.593, 0.004], [0.214, 0.310, 0.768], [0.356, 0.810, 0.483], [0.539, 0.093, 0.247], [0.590, 0.812, 0.004], [0.773, 0.095, 0.768], [0.915, 0.595, 0.483], [0.968, 0.312, 0.247], [0.000, 0.543, 0.982], [0.053, 0.223, 0.126], [0.076, 0.682, 0.125], [0.140, 0.352, 0.268], [0.140, 0.523, 0.473], [0.143, 0.872, 0.471], [0.237, 0.694, 0.905], [0.243, 0.219, 0.890], [0.308, 0.440, 0.745], [0.326, 0.194, 0.662], [0.337, 0.435, 0.011], [0.357, 0.043, 0.269], [0.363, 0.694, 0.589], [0.406, 0.970, 0.011], [0.427, 0.940, 0.506], [0.507, 0.719, 0.362], [0.517, 0.194, 0.346], [0.554, 0.723, 0.125], [0.575, 0.182, 0.126], [0.612, 0.711, 0.905], [0.622, 0.186, 0.890], [0.701, 0.965, 0.745], [0.734, 0.933, 0.241], [0.766, 0.212, 0.662], [0.782, 0.852, 0.983], [0.792, 0.470, 0.240], [0.803, 0.712, 0.589], [0.821, 0.465, 0.506], [0.886, 0.686, 0.362], [0.892, 0.211, 0.346], [0.987, 0.023, 0.778], [0.989, 0.372, 0.780]], "spacegroup": "P1 (1)", "crystal_system": "triclinic"}

***

Unit: kJ/mol of atoms. Relative energies: <a> 0.0; <b> 0.9.

***

<a>
{"formula": "LiNiP3O9", "functional": "GGA+U", "state": "relaxed", "lattice_angstrom": [[6.420, 0.000, 0.000], [-3.210, 5.560, 0.000], [0.000, 0.000, 9.660]], "species": ["Li", "Li", "Ni", "Ni", "P", "P", "P", "P", "P", "P", "O", "O", "O", "O", "O", "O", "O", "O", "O", "O", "O", "O", "O", "O", "O", "O", "O", "O"], "fractional_positions": [[0.000, 0.000, 0.000], [0.000, 0.000, 0.500], [0.667, 0.333, 0.000], [0.667, 0.333, 0.500], [0.052, 0.417, 0.250], [0.052, 0.634, 0.750], [0.366, 0.417, 0.750], [0.366, 0.948, 0.250], [0.583, 0.634, 0.250], [0.583, 0.948, 0.750], [0.123, 0.428, 0.750], [0.123, 0.694, 0.250], [0.306, 0.428, 0.250], [0.306, 0.877, 0.750], [0.374, 0.070, 0.115], [0.374, 0.070, 0.385], [0.374, 0.303, 0.615], [0.374, 0.303, 0.885], [0.572, 0.694, 0.750], [0.572, 0.877, 0.250], [0.697, 0.070, 0.615], [0.697, 0.070, 0.885], [0.697, 0.626, 0.115], [0.697, 0.626, 0.385], [0.930, 0.303, 0.115], [0.930, 0.303, 0.385], [0.930, 0.626, 0.615], [0.930, 0.626, 0.885]], "spacegroup": "P-6c2 (188)", "crystal_system": "hexagonal"}

***

<b>
{"formula": "LiNiP3O9", "functional": "GGA+U", "state": "relaxed", "lattice_angstrom": [[5.194, 0.000, 0.000], [0.000, 10.217, 0.000], [0.000, 0.000, 12.794]], "species": ["Li", "Li", "Li", "Li", "Ni", "Ni", "Ni", "Ni", "P", "P", "P", "P", "P", "P", "P", "P", "P", "P", "P", "P", "O", "O", "O", "O", "O", "O", "O", "O", "O", "O", "O", "O", "O", "O", "O", "O", "O", "O", "O", "O", "O", "O", "O", "O", "O", "O", "O", "O", "O", "O", "O", "O", "O", "O", "O", "O"], "fractional_positions": [[0.073, 0.062, 0.399], [0.427, 0.938, 0.899], [0.573, 0.438, 0.601], [0.927, 0.562, 0.101], [0.096, 0.387, 0.346], [0.404, 0.613, 0.846], [0.596, 0.113, 0.654], [0.904, 0.887, 0.154], [0.081, 0.272, 0.692], [0.106, 0.627, 0.631], [0.115, 0.917, 0.627], [0.385, 0.083, 0.127], [0.394, 0.373, 0.131], [0.419, 0.728, 0.192], [0.581, 0.228, 0.308], [0.606, 0.873, 0.369], [0.615, 0.583, 0.373], [0.885, 0.417, 0.873], [0.894, 0.127, 0.869], [0.919, 0.772, 0.808], [0.022, 0.031, 0.938], [0.040, 0.508, 0.939], [0.064, 0.395, 0.769], [0.095, 0.154, 0.774], [0.117, 0.046, 0.161], [0.121, 0.771, 0.577], [0.135, 0.404, 0.182], [0.164, 0.729, 0.136], [0.167, 0.764, 0.870], [0.333, 0.236, 0.370], [0.336, 0.271, 0.636], [0.365, 0.596, 0.682], [0.379, 0.229, 0.077], [0.383, 0.954, 0.661], [0.405, 0.846, 0.274], [0.436, 0.605, 0.269], [0.460, 0.492, 0.439], [0.478, 0.969, 0.438], [0.522, 0.469, 0.062], [0.540, 0.992, 0.061], [0.564, 0.105, 0.231], [0.595, 0.346, 0.226], [0.617, 0.454, 0.839], [0.621, 0.729, 0.423], [0.635, 0.096, 0.818], [0.664, 0.771, 0.864], [0.667, 0.736, 0.130], [0.833, 0.264, 0.630], [0.836, 0.229, 0.364], [0.865, 0.904, 0.318], [0.879, 0.271, 0.923], [0.883, 0.546, 0.339], [0.905, 0.654, 0.726], [0.936, 0.895, 0.731], [0.960, 0.008, 0.561], [0.978, 0.531, 0.562]], "spacegroup": "P2_12_12_1 (19)", "crystal_system": "orthorhombic"}

***

Unit: kJ/mol of atoms. Relative energies: <a> 0.0; <b> 3.5.

***

<a>
{"formula": "Li9Co2O8", "functional": "GGA+U", "state": "relaxed", "lattice_angstrom": [[7.240, 0.000, 0.000], [0.000, 6.755, 0.000], [-0.181, 0.000, 7.869]], "species": ["Li", "Li", "Li", "Li", "Li", "Li", "Li", "Li", "Li", "Li", "Li", "Li", "Li", "Li", "Li", "Li", "Li", "Li", "Co", "Co", "Co", "Co", "O", "O", "O", "O", "O", "O", "O", "O", "O", "O", "O", "O", "O", "O", "O", "O"], "fractional_positions": [[0.000, 0.234, 0.000], [0.000, 0.766, 0.000], [0.001, 0.261, 0.661], [0.001, 0.739, 0.661], [0.253, 0.000, 0.271], [0.256, 0.500, 0.455], [0.265, 0.000, 0.926], [0.468, 0.261, 0.835], [0.468, 0.739, 0.835], [0.500, 0.235, 0.500], [0.500, 0.765, 0.500], [0.532, 0.261, 0.165], [0.532, 0.739, 0.165], [0.735, 0.000, 0.074], [0.744, 0.500, 0.545], [0.747, 0.000, 0.729], [0.999, 0.261, 0.339], [0.999, 0.739, 0.339], [0.230, 0.000, 0.614], [0.265, 0.500, 0.126], [0.735, 0.500, 0.874], [0.770, 0.000, 0.386], [0.037, 0.000, 0.784], [0.041, 0.500, 0.217], [0.213, 0.232, 0.498], [0.213, 0.768, 0.498], [0.290, 0.262, 0.022], [0.290, 0.738, 0.022], [0.452, 0.500, 0.289], [0.465, 0.000, 0.725], [0.535, 0.000, 0.275], [0.548, 0.500, 0.711], [0.710, 0.262, 0.978], [0.710, 0.738, 0.978], [0.787, 0.232, 0.502], [0.787, 0.768, 0.502], [0.959, 0.500, 0.783], [0.963, 0.000, 0.216]], "spacegroup": "P2/m (10)", "crystal_system": "monoclinic"}

***

<b>
{"formula": "Li9Co2O8", "functional": "GGA+U", "state": "relaxed", "lattice_angstrom": [[4.549, -4.500, 0.000], [4.549, 4.500, 0.000], [-0.068, 0.000, 4.742]], "species": ["Li", "Li", "Li", "Li", "Li", "Li", "Li", "Li", "Li", "Co", "Co", "O", "O", "O", "O", "O", "O", "O", "O"], "fractional_positions": [[0.000, 0.000, 0.000], [0.175, 0.319, 0.928], [0.205, 0.343, 0.433], [0.386, 0.614, 0.000], [0.463, 0.104, 0.496], [0.657, 0.795, 0.567], [0.681, 0.825, 0.072], [0.896, 0.537, 0.504], [0.905, 0.095, 0.500], [0.189, 0.811, 0.500], [0.685, 0.315, 0.000], [0.175, 0.565, 0.699], [0.179, 0.085, 0.672], [0.435, 0.825, 0.301], [0.442, 0.323, 0.189], [0.677, 0.558, 0.811], [0.700, 0.070, 0.790], [0.915, 0.821, 0.328], [0.930, 0.300, 0.210]], "spacegroup": "C2 (5)", "crystal_system": "monoclinic"}

***

Unit: kJ/mol of atoms. Relative energies: <a> 0.0; <b> 1.1.